Compound: K2Si4O9
Source: the Materials Project database
Functional: PBE
Structure: relaxed

Unit cell a=6.7051 b=6.7051 c=9.6365 alpha=90.00 beta=90.00 gamma=120.00
Space group P6_3/m (No. 176)
Unique sites:
1 K 0.3333 0.6667 0.0584 x4
2 Si 0.0000 0.0000 0.0000 x2
3 Si 0.1339 0.3657 0.7500 x6
4 O 0.0259 0.2331 0.6059 x12
5 O 0.0733 0.5802 0.7500 x6

- Density: 2.96 g/cm3
- Distance to the lowest polymorph of the same formula: 30.7 meV/atom
- E (MP2020): -7.600 eV/atom